The following is a PBE+U calculation of a geometry-optimized Li4Ti4Mn4CoO18 structure, from Materials Project.

Unit cell a=2.939 b=9.105 c=25.059 alpha=90.00 beta=90.00 gamma=90.00
Sites, in units of the cell vectors:
1 Li 0.500 0.705 0.194
2 O 0.500 0.111 0.743
3 Mn 0.500 0.518 0.315
4 Ti 0.000 0.646 0.805
5 O 0.500 0.497 0.424
6 O 0.000 0.552 0.942
7 O 0.500 0.611 0.757
8 Ti 0.500 0.004 0.398
9 Li 0.500 0.699 0.989
10 Ti 0.500 0.504 0.102
11 O 0.000 0.052 0.558
12 O 0.000 0.856 0.790
13 Ti 0.000 0.354 0.195
14 Mn 0.000 0.858 0.083
15 Mn 0.500 0.482 0.685
16 Ti 0.000 0.146 0.695
17 O 0.500 0.889 0.257
18 O 0.000 0.053 0.341
19 O 0.500 0.211 0.418
20 O 0.000 0.448 0.058
21 O 0.500 0.821 0.358
22 O 0.000 0.644 0.290
23 O 0.500 0.003 0.924
24 O 0.000 0.553 0.159
25 Mn 0.000 0.358 0.417
26 O 0.000 0.859 0.005
27 O 0.000 0.641 0.505
28 O 0.500 0.321 0.142
29 Li 0.500 0.801 0.489
30 O 0.500 0.503 0.576
31 O 0.000 0.948 0.442
32 Mn 0.500 0.982 0.815
33 Li 0.500 0.205 0.306
34 Li 0.500 0.301 0.011
35 Mn 0.500 0.018 0.185
36 O 0.500 0.997 0.076
37 Ti 0.500 0.496 0.898
38 Co 0.500 0.500 0.500
39 O 0.500 0.711 0.082
40 O 0.000 0.359 0.495
41 O 0.000 0.616 0.660
42 Mn 0.000 0.642 0.583
43 Mn 0.000 0.142 0.917
44 O 0.500 0.289 0.918
45 O 0.000 0.356 0.710
46 O 0.000 0.144 0.210
47 O 0.500 0.679 0.858
48 O 0.000 0.384 0.340
49 O 0.000 0.947 0.659
50 Li 0.500 0.795 0.694
51 Li 0.500 0.295 0.806
52 O 0.000 0.116 0.840
53 O 0.000 0.884 0.160
54 Li 0.500 0.199 0.511
55 O 0.500 0.179 0.642
56 O 0.000 0.447 0.841
57 Ti 0.000 0.854 0.305
58 Ti 0.500 0.996 0.602
59 O 0.500 0.789 0.582
60 Co 0.500 0.000 0.000
61 O 0.500 0.389 0.243
62 O 0.000 0.141 0.995

Computed properties:
Total moment in μB per cell: 30.00
Space-group type: Pbam

---

The following is a PBE+U calculation of a geometry-optimized Li3FeO2F structure, from Materials Project.

Unit cell a=3.592 b=8.789 c=9.707 alpha=90.00 beta=90.00 gamma=90.00
Sites, in units of the cell vectors:
1 Fe 0.000 0.383 0.405
2 O 0.500 0.105 0.116
3 Li 0.500 0.101 0.341
4 Li 0.000 0.399 0.841
5 Li 0.000 0.837 0.823
6 Li 0.000 0.163 0.177
7 O 0.000 0.167 0.380
8 O 0.500 0.667 0.120
9 Li 0.500 0.337 0.677
10 F 0.000 0.383 0.152
11 O 0.000 0.395 0.616
12 Li 0.000 0.601 0.159
13 Fe 0.500 0.883 0.095
14 Fe 0.500 0.117 0.905
15 Fe 0.000 0.617 0.595
16 F 0.500 0.117 0.652
17 Li 0.500 0.357 0.078
18 F 0.000 0.617 0.848
19 Li 0.000 0.857 0.422
20 Li 0.000 0.143 0.578
21 O 0.500 0.895 0.884
22 Li 0.500 0.899 0.659
23 O 0.000 0.833 0.620
24 Li 0.500 0.643 0.922
25 Li 0.500 0.663 0.323
26 F 0.500 0.883 0.348
27 O 0.000 0.605 0.384
28 O 0.500 0.333 0.880

Computed properties:
Total moment in μB per cell: 0.00
Space-group type: Pnnm

---

no.,DFT formation energy (meV/atom)
1,-2542
2,-2182